{"formula": "MgCo6O8F4", "functional": "PBE+U", "state": "relaxed", "lattice": [[4.062, -3.077, 0.000], [4.062, 3.077, 0.000], [-0.142, 0.000, 8.821]], "species": ["Mg", "Co", "Co", "Co", "Co", "Co", "Co", "O", "O", "O", "O", "O", "O", "O", "O", "F", "F", "F", "F"], "frac_coords": [[0.000, 0.000, 0.000], [0.290, 0.290, 0.336], [0.306, 0.306, 0.670], [0.333, 0.333, 0.009], [0.702, 0.702, 0.831], [0.754, 0.754, 0.188], [0.828, 0.828, 0.513], [0.169, 0.169, 0.156], [0.480, 0.480, 0.844], [0.597, 0.987, 0.672], [0.609, 0.993, 0.006], [0.612, 0.996, 0.345], [0.987, 0.597, 0.672], [0.993, 0.609, 0.006], [0.996, 0.612, 0.345], [0.117, 0.117, 0.499], [0.131, 0.131, 0.829], [0.460, 0.460, 0.505], [0.503, 0.503, 0.179]], "vol_a3_per_cell": 221, "e_above_lowest_polymorph_mev_per_atom": 55, "formation_enthalpy_0k_ev_per_atom": -1.550}